A relaxed Li3V2P4H2O16 crystal. Source: Materials Project, functional GGA+U.

Computed properties:
Its total moment is 9.0 μB per cell. The raw total energy comes out at -6.87 eV/atom. The value obtained for the corrected total energy (MP2020 scheme) is -7.40 eV per atom. As for the energy relative to the elements: -68.40 eV per formula unit.

Cell lengths 7.885, 8.075, 13.772 Å; angles 90.25, 100.04, 89.98 degrees
Fractional coordinates of all 81 atoms:
O 0.948 0.553 0.396
O 0.780 0.938 0.728
O 0.221 0.047 0.571
O 0.210 0.182 0.902
O 0.104 0.825 0.425
O 0.373 0.167 0.730
O 0.784 0.672 0.933
O 0.553 0.059 0.605
O 0.460 0.816 0.767
O 0.622 0.680 0.429
O 0.932 0.550 0.093
O 0.884 0.175 0.569
O 0.624 0.825 0.266
O 0.040 0.318 0.235
O 0.887 0.049 0.241
O 0.612 0.546 0.762
O 0.951 0.822 0.599
O 0.717 0.171 0.068
O 0.287 0.828 0.934
O 0.056 0.454 0.905
O 0.616 0.555 0.064
O 0.264 0.548 0.430
O 0.290 0.682 0.098
O 0.549 0.177 0.234
O 0.373 0.452 0.936
O 0.718 0.440 0.270
O 0.444 0.954 0.095
O 0.773 0.828 0.090
O 0.462 0.667 0.604
O 0.121 0.669 0.268
O 0.044 0.170 0.399
O 0.728 0.327 0.911
O 0.212 0.328 0.066
O 0.949 0.675 0.764
O 0.567 0.051 0.907
O 0.097 0.951 0.759
O 0.882 0.322 0.734
O 0.775 0.953 0.428
O 0.736 0.452 0.574
O 0.127 0.952 0.065
O 0.374 0.315 0.566
O 0.053 0.438 0.605
O 0.884 0.054 0.936
O 0.218 0.060 0.271
O 0.552 0.325 0.400
O 0.401 0.453 0.241
O 0.280 0.560 0.728
O 0.459 0.950 0.396
H 0.676 0.990 0.671
H 0.474 0.490 0.991
H 0.820 0.490 0.328
H 0.026 0.990 0.009
H 0.157 0.490 0.662
H 0.355 0.988 0.341
P 0.215 0.348 0.955
P 0.056 0.149 0.287
P 0.109 0.651 0.378
P 0.617 0.847 0.378
P 0.553 0.344 0.289
P 0.285 0.848 0.045
P 0.887 0.343 0.623
P 0.389 0.149 0.621
P 0.726 0.152 0.955
P 0.775 0.652 0.045
P 0.946 0.843 0.710
P 0.445 0.649 0.712
V 0.164 0.505 0.169
V 0.012 0.995 0.499
V 0.336 0.004 0.831
V 0.497 0.503 0.502
V 0.821 0.496 0.834
V 0.678 0.997 0.166
Li 0.525 0.633 0.181
Li 0.856 0.632 0.513
Li 0.138 0.365 0.482
Li 0.695 0.867 0.852
Li 0.199 0.631 0.849
Li 0.635 0.131 0.485
Li 0.976 0.132 0.820
Li 0.805 0.367 0.148
Li 0.300 0.132 0.152